1.
ThIn2Br6 after structural relaxation. Source: the Materials Project, functional r2SCAN.

Results
ΔH_f (0 K) in eV per atom: -1.454

Cell: 8.563 8.563 9.115 Å, 88.84 88.84 117.21°
Positions (direct):
Th: 0.060 0.940 0.750
Th: 0.940 0.060 0.250
In: 0.349 0.661 0.986
In: 0.661 0.349 0.486
In: 0.651 0.339 0.014
In: 0.339 0.651 0.514
Br: 0.308 0.301 0.266
Br: 0.692 0.699 0.734
Br: 0.860 0.090 0.944
Br: 0.140 0.910 0.056
Br: 0.699 0.692 0.234
Br: 0.910 0.140 0.556
Br: 0.028 0.574 0.776
Br: 0.574 0.028 0.276
Br: 0.972 0.426 0.224
Br: 0.090 0.860 0.444
Br: 0.426 0.972 0.724
Br: 0.301 0.308 0.766

***

2.
BaLaSi2 after structural relaxation. Source: the Materials Project, functional r2SCAN.

Results
ΔH_f (0 K) in eV per atom: -0.655

Cell: 4.671 6.751 7.907 Å, 90.00 107.18 90.00°
Positions (direct):
Ba: 0.278 0.750 0.557
Ba: 0.722 0.250 0.443
La: 0.548 0.750 0.095
La: 0.452 0.250 0.905
Si: 0.926 0.569 0.852
Si: 0.074 0.431 0.148
Si: 0.926 0.931 0.852
Si: 0.074 0.069 0.148

***

3.
BaIn2Rh after structural relaxation. Source: the Materials Project, functional r2SCAN.

Results
ΔH_f (0 K) in eV per atom: -0.549

Cell: 4.510 6.328 8.013 Å, 90.00 90.00 110.88°
Positions (direct):
Ba: 0.951 0.903 0.250
Ba: 0.049 0.097 0.750
In: 0.330 0.659 0.556
In: 0.670 0.341 0.444
In: 0.330 0.659 0.944
In: 0.670 0.341 0.056
Rh: 0.783 0.567 0.750
Rh: 0.217 0.433 0.250

***

Repeat the third record exactly.
BaIn2Rh after structural relaxation. Source: the Materials Project, functional r2SCAN.

Results
ΔH_f (0 K) in eV per atom: -0.549

Cell: 4.510 6.328 8.013 Å, 90.00 90.00 110.88°
Positions (direct):
Ba: 0.951 0.903 0.250
Ba: 0.049 0.097 0.750
In: 0.330 0.659 0.556
In: 0.670 0.341 0.444
In: 0.330 0.659 0.944
In: 0.670 0.341 0.056
Rh: 0.783 0.567 0.750
Rh: 0.217 0.433 0.250